The following is a DFT calculation (r2SCAN) of Rb2Ge2S5 after structural relaxation.

a = 11.0282 Å, b = 11.0282 Å, c = 9.1633 Å
α = 79.67°, β = 79.67°, γ = 90.17°
With the nearest neighbours (Å) after each atom.
Element x y z (fractional)
S: 0.3223 0.7551 0.4613  2 Ge 2.25-2.26
S: 0.8839 0.4567 0.2405  2 Ge 2.23-2.27
S: 0.5466 0.4534 0.2500  2 Ge 2.25
S: 0.6466 0.7567 0.4519  1 Ge 2.12
S: 0.3534 0.2433 0.5481  1 Ge 2.12
S: 0.6777 0.2449 0.5387  2 Ge 2.25-2.26
S: 0.1173 0.8827 0.7500  2 Ge 2.25
S: 0.1161 0.5433 0.7595  2 Ge 2.23-2.27
S: 0.7551 0.3223 0.9613  2 Ge 2.25-2.26
S: 0.5433 0.1161 0.2595  2 Ge 2.23-2.27
S: 0.0026 0.7533 0.4724  1 Ge 2.12
S: 0.7567 0.6466 0.9519  1 Ge 2.12
S: 0.8827 0.1173 0.2500  2 Ge 2.25
S: 0.2449 0.6777 0.0387  2 Ge 2.25-2.26
S: 0.4534 0.5466 0.7500  2 Ge 2.25
S: 0.2467 0.9974 0.0276  1 Ge 2.12
S: 0.7533 0.0026 0.9724  1 Ge 2.12
S: 0.4567 0.8839 0.7405  2 Ge 2.23-2.27
S: 0.2433 0.3534 0.0481  1 Ge 2.12
S: 0.9974 0.2467 0.5276  1 Ge 2.12
Rb: 0.2103 0.4764 0.3729  7 S 3.34-3.71
Rb: 0.2086 0.0575 0.3741  6 S 3.31-3.67
Rb: 0.5236 0.7897 0.1271  7 S 3.34-3.71
Rb: 0.7914 0.9425 0.6259  6 S 3.31-3.67
Rb: 0.7897 0.5236 0.6271  7 S 3.34-3.71
Rb: 0.9425 0.7914 0.1259  6 S 3.31-3.67
Rb: 0.0575 0.2086 0.8741  6 S 3.31-3.67
Rb: 0.4764 0.2103 0.8729  7 S 3.34-3.71
Ge: 0.1363 0.7302 0.6142  4 S 2.12-2.25
Ge: 0.5264 0.2669 0.4000  4 S 2.12-2.27
Ge: 0.2669 0.5264 0.9000  4 S 2.12-2.27
Ge: 0.7331 0.4736 0.1000  4 S 2.12-2.27
Ge: 0.8637 0.2698 0.3858  4 S 2.12-2.25
Ge: 0.7302 0.1363 0.1142  4 S 2.12-2.25
Ge: 0.4736 0.7331 0.6000  4 S 2.12-2.27
Ge: 0.2698 0.8637 0.8858  4 S 2.12-2.25

***

The following is a DFT calculation (r2SCAN) of RbTaGeS5 after structural relaxation.

a = 7.0402 Å, b = 7.2096 Å, c = 9.1407 Å
α = 69.49°, β = 78.56°, γ = 74.82°
With the nearest neighbours (Å) after each atom.
Element x y z (fractional)
S: 0.9344 0.6139 0.6408  2 Ge 2.26
S: 0.2265 0.8620 0.2955  1 Ge 2.19
S: 0.0656 0.3861 0.3592  2 Ge 2.26
S: 0.9304 0.2430 0.0005  2 Ta 2.31-2.58
S: 0.6961 0.8739 0.2903  1 Ge 2.19
S: 0.0696 0.7570 0.9995  2 Ta 2.31-2.58
S: 0.5647 0.7721 0.9689  1 Ta 2.32
S: 0.3039 0.1261 0.7097  1 Ge 2.19
S: 0.7735 0.1380 0.7045  1 Ge 2.19
S: 0.4353 0.2279 0.0311  1 Ta 2.32
Rb: 0.5895 0.3625 0.3107  9 S 3.46-3.84
Rb: 0.4105 0.6375 0.6893  9 S 3.46-3.84
Ta: 0.7607 0.9694 0.9942  5 S 2.31-2.58
Ta: 0.2393 0.0306 0.0058  5 S 2.31-2.58
Ge: 0.9808 0.7031 0.3753  4 S 2.19-2.26
Ge: 0.0192 0.2969 0.6247  4 S 2.19-2.26

***

The following is a DFT calculation (r2SCAN) of ScReGe2 after structural relaxation.

a = 8.3287 Å, b = 9.4278 Å, c = 10.1773 Å
α = 90.00°, β = 90.00°, γ = 90.00°
With the nearest neighbours (Å) after each atom.
Element x y z (fractional)
Ge: 0.0000 0.6411 0.4019  4 Re 2.62-2.67, 4 Sc 2.75-2.92
Ge: 0.0000 0.3589 0.5981  4 Re 2.62-2.67, 4 Sc 2.75-2.92
Ge: 0.0000 0.5417 0.1178  2 Re 2.49, 1 Ge 2.52
Ge: 0.0000 0.4583 0.8822  2 Re 2.49, 1 Ge 2.52
Ge: 0.5000 0.3654 0.5867  4 Re 2.64-2.73, 2 Sc 2.84
Ge: 0.5000 0.8654 0.9133  4 Re 2.64-2.73, 2 Sc 2.84
Ge: 0.6524 0.8265 0.1806  1 Ge 2.54, 3 Re 2.57-2.61
Ge: 0.5000 0.1346 0.0867  4 Re 2.64-2.73, 2 Sc 2.84
Ge: 0.6524 0.6735 0.6806  1 Ge 2.54, 3 Re 2.57-2.61
Ge: 0.3476 0.8265 0.1806  1 Ge 2.54, 3 Re 2.57-2.61
Ge: 0.3476 0.1735 0.8194  1 Ge 2.54, 3 Re 2.57-2.61
Ge: 0.5000 0.0358 0.3806  2 Re 2.50, 1 Ge 2.52
Ge: 0.0000 0.9583 0.6178  2 Re 2.49, 1 Ge 2.52
Ge: 0.5000 0.4642 0.8806  2 Re 2.50, 1 Ge 2.52
Ge: 0.6524 0.1735 0.8194  1 Ge 2.54, 3 Re 2.57-2.61
Ge: 0.0000 0.8589 0.9019  4 Re 2.62-2.67, 4 Sc 2.75-2.92
Ge: 0.0000 0.1411 0.0981  4 Re 2.62-2.67, 4 Sc 2.75-2.92
Ge: 0.3476 0.6735 0.6806  1 Ge 2.54, 3 Re 2.57-2.61
Ge: 0.6524 0.3265 0.3194  1 Ge 2.54, 3 Re 2.57-2.61
Ge: 0.0000 0.0417 0.3822  2 Re 2.49, 1 Ge 2.52
Ge: 0.5000 0.5358 0.1194  2 Re 2.50, 1 Ge 2.52
Ge: 0.3476 0.3265 0.3194  1 Ge 2.54, 3 Re 2.57-2.61
Ge: 0.5000 0.6346 0.4133  4 Re 2.64-2.73, 2 Sc 2.84
Ge: 0.5000 0.9642 0.6194  2 Re 2.50, 1 Ge 2.52
Sc: 0.7554 0.8294 0.4521  8 Ge 2.75-3.01
Sc: 0.0000 0.1654 0.8220  7 Ge 2.82-3.00, 2 Re 3.14
Sc: 0.7554 0.3294 0.0479  8 Ge 2.75-3.01
Sc: 0.0000 0.3346 0.3220  7 Ge 2.82-3.00, 2 Re 3.14
Sc: 0.7554 0.1706 0.5479  8 Ge 2.75-3.01
Sc: 0.2446 0.6706 0.9521  8 Ge 2.75-3.01
Sc: 0.0000 0.8346 0.1780  7 Ge 2.82-3.00, 2 Re 3.14
Sc: 0.2446 0.3294 0.0479  8 Ge 2.75-3.01
Sc: 0.2446 0.1706 0.5479  8 Ge 2.75-3.01
Sc: 0.7554 0.6706 0.9521  8 Ge 2.75-3.01
Sc: 0.0000 0.6654 0.6780  7 Ge 2.82-3.00, 2 Re 3.14
Sc: 0.2446 0.8294 0.4521  8 Ge 2.75-3.01
Re: 0.7505 0.5783 0.2484  6 Ge 2.49-2.73, 1 Re 2.67
Re: 0.7505 0.9217 0.7484  6 Ge 2.49-2.73, 1 Re 2.67
Re: 0.2495 0.5783 0.2484  6 Ge 2.49-2.73, 1 Re 2.67
Re: 0.7563 0.5000 0.5000  6 Ge 2.61-2.64, 2 Re 2.67
Re: 0.2495 0.0783 0.2516  6 Ge 2.49-2.73, 1 Re 2.67
Re: 0.2437 0.5000 0.5000  6 Ge 2.61-2.64, 2 Re 2.67
Re: 0.2437 0.0000 0.0000  6 Ge 2.61-2.64, 2 Re 2.67
Re: 0.7563 0.0000 0.0000  6 Ge 2.61-2.64, 2 Re 2.67
Re: 0.2495 0.4217 0.7516  6 Ge 2.49-2.73, 1 Re 2.67
Re: 0.7505 0.4217 0.7516  6 Ge 2.49-2.73, 1 Re 2.67
Re: 0.7505 0.0783 0.2516  6 Ge 2.49-2.73, 1 Re 2.67
Re: 0.2495 0.9217 0.7484  6 Ge 2.49-2.73, 1 Re 2.67

***

The following is a DFT calculation (r2SCAN) of Ge3Rh5 after structural relaxation.

a = 3.9490 Å, b = 5.4865 Å, c = 10.4925 Å
α = 90.00°, β = 90.00°, γ = 90.00°
With the nearest neighbours (Å) after each atom.
Element x y z (fractional)
Ge: 0.0000 0.5001 0.4999  6 Rh 2.42-2.45
Ge: 0.5000 0.5922 0.8445  6 Rh 2.40-2.61
Ge: 0.0000 0.0001 0.0001  6 Rh 2.42-2.45
Ge: 0.5000 0.9079 0.3442  6 Rh 2.40-2.61
Ge: 0.5000 0.4079 0.1558  6 Rh 2.40-2.61
Ge: 0.5000 0.0922 0.6555  6 Rh 2.40-2.61
Rh: 0.0000 0.6599 0.2855  3 Ge 2.42-2.48
Rh: 0.0000 0.9999 0.5000  6 Ge 2.61-2.74, 2 Rh 2.92
Rh: 0.0000 0.3401 0.7145  3 Ge 2.42-2.48
Rh: 0.5000 0.8355 0.1082  4 Ge 2.40-2.51
Rh: 0.0000 0.4999 0.0000  6 Ge 2.61-2.74, 2 Rh 2.92
Rh: 0.5000 0.1643 0.8918  4 Ge 2.40-2.51
Rh: 0.0000 0.8401 0.7855  3 Ge 2.42-2.48
Rh: 0.5000 0.6643 0.6082  4 Ge 2.40-2.51
Rh: 0.0000 0.1599 0.2145  3 Ge 2.42-2.48
Rh: 0.5000 0.3355 0.3918  4 Ge 2.40-2.51

***

The following is a DFT calculation (r2SCAN) of GeRh2 after structural relaxation.

a = 4.0126 Å, b = 5.4990 Å, c = 7.5842 Å
α = 90.00°, β = 90.00°, γ = 90.00°
With the nearest neighbours (Å) after each atom.
Element x y z (fractional)
Rh: 0.7500 0.4701 0.2966  3 Ge 2.53-2.55, 2 Rh 2.82
Rh: 0.2500 0.0299 0.7966  3 Ge 2.53-2.55, 2 Rh 2.82
Rh: 0.7500 0.8383 0.5697  4 Ge 2.47-2.50
Rh: 0.2500 0.5299 0.7034  3 Ge 2.53-2.55, 2 Rh 2.82
Rh: 0.7500 0.9701 0.2034  3 Ge 2.53-2.55, 2 Rh 2.82
Rh: 0.7500 0.3383 0.9303  4 Ge 2.47-2.50
Rh: 0.2500 0.1617 0.4303  4 Ge 2.47-2.50
Rh: 0.2500 0.6617 0.0697  4 Ge 2.47-2.50
Ge: 0.2500 0.7148 0.3952  7 Rh 2.47-2.55
Ge: 0.2500 0.2148 0.1048  7 Rh 2.47-2.55
Ge: 0.7500 0.2852 0.6048  7 Rh 2.47-2.55
Ge: 0.7500 0.7852 0.8952  7 Rh 2.47-2.55

***

The following is a DFT calculation (r2SCAN) of Ge4Rh after structural relaxation.

a = 6.2158 Å, b = 6.2159 Å, c = 7.8250 Å
α = 90.00°, β = 90.00°, γ = 120.01°
With the nearest neighbours (Å) after each atom.
Element x y z (fractional)
Ge: 0.6132 0.0000 0.3334  3 Ge 2.57-2.84, 2 Rh 2.58
Ge: 0.4827 0.2222 0.5517  2 Rh 2.52-2.53, 3 Ge 2.57-2.81
Ge: 0.2222 0.4827 0.4483  2 Rh 2.52-2.53, 3 Ge 2.57-2.81
Ge: 0.7779 0.2606 0.8850  2 Rh 2.52-2.53, 3 Ge 2.57-2.81
Ge: 0.9296 0.9296 0.0000  2 Rh 2.58, 7 Ge 2.72-2.84
Ge: 0.2606 0.7779 0.1150  2 Rh 2.52-2.53, 3 Ge 2.57-2.81
Ge: 0.0000 0.6132 0.6666  3 Ge 2.57-2.84, 2 Rh 2.58
Ge: 0.0704 0.0000 0.3333  2 Rh 2.58, 7 Ge 2.72-2.84
Ge: 0.7394 0.5172 0.2184  2 Rh 2.52-2.53, 3 Ge 2.57-2.81
Ge: 0.0000 0.0704 0.6667  2 Rh 2.58, 7 Ge 2.72-2.84
Ge: 0.5172 0.7394 0.7816  2 Rh 2.52-2.53, 3 Ge 2.57-2.81
Ge: 0.3868 0.3868 0.0000  3 Ge 2.57-2.84, 2 Rh 2.58
Rh: 0.6823 0.6823 0.5000  8 Ge 2.52-2.58
Rh: 0.3177 0.0000 0.8333  8 Ge 2.52-2.58
Rh: 0.0000 0.3177 0.1667  8 Ge 2.52-2.58

***

The following is a DFT calculation (r2SCAN) of Sm3Ge2Rh2 after structural relaxation.

a = 5.6273 Å, b = 7.9583 Å, c = 13.3777 Å
α = 90.00°, β = 90.00°, γ = 90.00°
With the nearest neighbours (Å) after each atom.
Element x y z (fractional)
Ge: 0.3459 0.7500 0.5000  4 Rh 2.59-2.62
Ge: 0.3459 0.7500 0.0000  4 Rh 2.59-2.62
Ge: 0.8615 0.6089 0.2500  2 Rh 2.56
Ge: 0.6541 0.2500 0.0000  4 Rh 2.59-2.62
Ge: 0.1385 0.3911 0.7500  2 Rh 2.56
Ge: 0.1385 0.1089 0.2500  2 Rh 2.56
Ge: 0.6541 0.2500 0.5000  4 Rh 2.59-2.62
Ge: 0.8615 0.8911 0.7500  2 Rh 2.56
Rh: 0.3769 0.0404 0.0919  3 Ge 2.56-2.62
Rh: 0.3769 0.0404 0.4081  3 Ge 2.56-2.62
Rh: 0.6231 0.9596 0.9081  3 Ge 2.56-2.62
Rh: 0.6231 0.9596 0.5919  3 Ge 2.56-2.62
Rh: 0.6231 0.5404 0.0919  3 Ge 2.56-2.62
Rh: 0.3769 0.4596 0.5919  3 Ge 2.56-2.62
Rh: 0.3769 0.4596 0.9081  3 Ge 2.56-2.62
Rh: 0.6231 0.5404 0.4081  3 Ge 2.56-2.62
Sm: 0.1457 0.3937 0.0994  4 Rh 2.92-3.17, 2 Ge 3.03-3.09
Sm: 0.3648 0.7563 0.2500  5 Ge 3.03-3.35, 4 Rh 3.09-3.10
Sm: 0.8543 0.6063 0.5994  4 Rh 2.92-3.17, 2 Ge 3.03-3.09
Sm: 0.1457 0.1063 0.9006  4 Rh 2.92-3.17, 2 Ge 3.03-3.09
Sm: 0.6352 0.2563 0.2500  5 Ge 3.03-3.35, 4 Rh 3.09-3.10
Sm: 0.8543 0.8937 0.0994  4 Rh 2.92-3.17, 2 Ge 3.03-3.09
Sm: 0.3648 0.7437 0.7500  5 Ge 3.03-3.35, 4 Rh 3.09-3.10
Sm: 0.1457 0.3937 0.4006  4 Rh 2.92-3.17, 2 Ge 3.03-3.09
Sm: 0.6352 0.2437 0.7500  5 Ge 3.03-3.35, 4 Rh 3.09-3.10
Sm: 0.8543 0.6063 0.9006  4 Rh 2.92-3.17, 2 Ge 3.03-3.09
Sm: 0.8543 0.8937 0.4006  4 Rh 2.92-3.17, 2 Ge 3.03-3.09
Sm: 0.1457 0.1063 0.5994  4 Rh 2.92-3.17, 2 Ge 3.03-3.09

***

The following is a DFT calculation (r2SCAN) of Sm2Ge2Rh after structural relaxation.

a = 5.7692 Å, b = 5.7692 Å, c = 10.5361 Å
α = 64.63°, β = 64.63°, γ = 44.24°
With the nearest neighbours (Å) after each atom.
Element x y z (fractional)
Sm: 0.1911 0.1911 0.8819  6 Ge 3.04-3.17, 2 Rh 3.08
Sm: 0.0123 0.0123 0.6678  7 Ge 3.04-3.28, 4 Rh 3.05-3.27
Sm: 0.8089 0.8089 0.1181  6 Ge 3.04-3.17, 2 Rh 3.08
Sm: 0.9877 0.9877 0.3322  7 Ge 3.04-3.28, 4 Rh 3.05-3.27
Ge: 0.3536 0.3536 0.5570  2 Rh 2.51, 1 Ge 2.79
Ge: 0.6464 0.6464 0.4430  2 Rh 2.51, 1 Ge 2.79
Ge: 0.4848 0.4848 0.8840  1 Rh 2.60, 1 Ge 2.61
Ge: 0.5152 0.5152 0.1160  1 Rh 2.60, 1 Ge 2.61
Rh: 0.7309 0.7309 0.6596  3 Ge 2.51-2.60
Rh: 0.2691 0.2691 0.3404  3 Ge 2.51-2.60

***

| no. | energy (eV per atom) |
| --- | --- |
| 1 | -11.548 |
| 2 | -15.559 |
| 3 | -23.401 |
| 4 | -20.763 |
| 5 | -21.185 |
| 6 | -16.059 |
| 7 | -24.570 |
| 8 | -23.262 |